Record 1
## FeSi4O6 (PBE+U)

Data for a relaxed structure of FeSi4O6.

Cell lengths 2.821, 4.681, 11.992 Å; angles 99.10, 93.76, 93.79 degrees
Positions (direct):
Fe 0.024 0.124 0.128
Si 0.782 0.882 0.780
Si 0.402 0.313 0.780
Si 0.463 0.691 0.954
Si 0.462 0.564 0.527
O 0.488 0.049 0.010
O 0.969 0.591 0.018
O 0.553 0.160 0.221
O 0.544 0.554 0.685
O 0.394 0.251 0.459
O 0.986 0.755 0.535

Properties
energy above the lowest structure with this stoichiometry	0.3674	eV/atom
energy relative to the elements	-1.566	eV/atom
E_tot	-0.4725	Ry per atom
space-group type	P1 (1)

=====

Record 2
## MgMn2H2O4 (PBE+U)

Data for a relaxed structure of MgMn2H2O4.

Cell lengths 5.210, 6.337, 3.137 Å; angles 90.00, 90.00, 81.16 degrees
Positions (direct):
Mg 0.333 0.219 0.500
Mn 0.471 0.615 0.500
Mn 0.967 0.925 0.000
H 0.606 0.953 0.500
H 0.920 0.537 0.000
O 0.707 0.072 0.500
O 0.244 0.921 0.500
O 0.295 0.418 0.000
O 0.762 0.647 0.000

Properties
energy relative to the elements	-1.815	eV/atom
E_tot	-0.4635	Ry per atom
space-group type	Pm (6)

=====

Record 3
## KNiBr3O6 (PBE+U)

Data for a relaxed structure of KNiBr3O6.

Cell lengths 6.399, 6.399, 12.172 Å; angles 75.28, 75.28, 66.91 degrees
Positions (direct):
K 0.447 0.553 0.250
K 0.553 0.447 0.750
Ni 0.000 0.500 0.000
Ni 0.500 0.000 0.500
Br 0.500 0.000 0.000
Br 0.000 0.500 0.500
Br 0.108 0.246 0.253
Br 0.892 0.754 0.747
Br 0.754 0.892 0.247
Br 0.246 0.108 0.753
O 0.131 0.472 0.138
O 0.869 0.528 0.862
O 0.528 0.869 0.362
O 0.472 0.131 0.638
O 0.713 0.709 0.065
O 0.287 0.291 0.935
O 0.291 0.287 0.435
O 0.709 0.713 0.565
O 0.849 0.339 0.343
O 0.151 0.661 0.657
O 0.661 0.151 0.157
O 0.339 0.849 0.843

Properties
energy relative to the elements	-0.525	eV/atom
E_tot	-0.2713	Ry per atom
space-group type	C2/c (15)

=====

Record 4
## Li2CrFeO4 (PBE+U)

Data for a relaxed structure of Li2CrFeO4.

Cell lengths 5.114, 5.930, 7.832 Å; angles 79.01, 77.51, 73.42 degrees
Positions (direct):
Li 0.997 0.667 0.333
Li 0.499 0.834 0.168
Li 0.004 0.332 0.667
Li 0.999 0.001 0.000
Li 0.500 0.500 0.499
Li 0.501 0.166 0.833
Cr 0.000 0.835 0.664
Cr 0.000 0.165 0.335
Cr 0.500 0.331 0.169
Fe 0.000 0.500 0.000
Fe 0.500 0.669 0.831
Fe 0.500 0.000 0.500
O 0.741 0.687 0.587
O 0.757 0.482 0.244
O 0.759 0.821 0.908
O 0.258 0.651 0.078
O 0.738 0.015 0.263
O 0.741 0.347 0.925
O 0.246 0.853 0.426
O 0.260 0.987 0.737
O 0.754 0.148 0.574
O 0.262 0.312 0.411
O 0.241 0.517 0.755
O 0.242 0.180 0.093

Properties
energy above the lowest structure with this stoichiometry	0.0137	eV/atom
energy relative to the elements	-2.163	eV/atom
E_tot	-0.4781	Ry per atom
space-group type	P1 (1)